(1)
Density functional theory data (meta-GGA r2SCAN) for a relaxed structure of YHo.

Cell: 3.6110 3.6110 5.7993 Å, 90.00 90.00 120.00°
Last column: nearest neighbours and their distance in Å.
Sites, in units of the cell vectors:
Y1 0.0000 0.0000 0.0000  6 Ho 3.57, 6 Y 3.61
Ho1 0.3333 0.6667 0.5000  6 Y 3.57, 6 Ho 3.61

Values from the calculation:
Total energy, eV/cell: -53.2

(2)
Density functional theory data (meta-GGA r2SCAN) for a relaxed structure of YbHo3.

Cell: 6.0955 6.0955 6.0955 Å, 131.96 131.96 70.30°
Last column: nearest neighbours and their distance in Å.
Sites, in units of the cell vectors:
Yb1 0.0000 0.0000 0.0000  12 Ho 3.51-3.52
Ho1 0.2500 0.7500 0.5000  8 Ho 3.51-3.52, 4 Yb 3.52
Ho2 0.5000 0.5000 0.0000  4 Yb 3.51, 8 Ho 3.52
Ho3 0.7500 0.2500 0.5000  8 Ho 3.51-3.52, 4 Yb 3.52

Values from the calculation:
Total energy, eV/cell: -135.0

(3)
Density functional theory data (meta-GGA r2SCAN) for a relaxed structure of YbHoZn2.

Cell: 4.9592 4.9592 4.9592 Å, 60.00 60.00 60.00°
Last column: nearest neighbours and their distance in Å.
Sites, in units of the cell vectors:
Yb1 0.0000 0.0000 0.0000  8 Zn 3.04
Ho1 0.5000 0.5000 0.5000  8 Zn 3.04
Zn1 0.2500 0.2500 0.2500  4 Ho 3.04, 4 Yb 3.04
Zn2 0.7500 0.7500 0.7500  4 Ho 3.04, 4 Yb 3.04

Values from the calculation:
Total energy, eV/cell: -88.8

(4)
Density functional theory data (meta-GGA r2SCAN) for a relaxed structure of Ho2Zn17.

Cell: 6.6828 6.6828 6.6828 Å, 82.90 82.90 82.90°
Last column: nearest neighbours and their distance in Å.
Sites, in units of the cell vectors:
Ho1 0.1644 0.1644 0.1644  19 Zn 3.05-3.39
Ho2 0.8356 0.8356 0.8356  19 Zn 3.05-3.39
Zn1 0.0000 0.5000 0.5000  10 Zn 2.54-2.70
Zn2 0.1489 0.1489 0.6613  8 Zn 2.52-2.70
Zn3 0.1489 0.6613 0.1489  8 Zn 2.52-2.70
Zn4 0.2032 0.5000 0.7968  8 Zn 2.54-2.70
Zn5 0.2032 0.7968 0.5000  8 Zn 2.54-2.70
Zn6 0.3387 0.8511 0.8511  8 Zn 2.52-2.70
Zn7 0.4003 0.4003 0.4003  7 Zn 2.58-2.82
Zn8 0.5000 0.0000 0.5000  10 Zn 2.54-2.70
Zn9 0.5000 0.2032 0.7968  8 Zn 2.54-2.70
Zn10 0.5000 0.5000 0.0000  10 Zn 2.54-2.70
Zn11 0.5000 0.7968 0.2032  8 Zn 2.54-2.70
Zn12 0.5997 0.5997 0.5997  7 Zn 2.58-2.82
Zn13 0.6613 0.1489 0.1489  8 Zn 2.52-2.70
Zn14 0.7968 0.2032 0.5000  8 Zn 2.54-2.70
Zn15 0.7968 0.5000 0.2032  8 Zn 2.54-2.70
Zn16 0.8511 0.3387 0.8511  8 Zn 2.52-2.70
Zn17 0.8511 0.8511 0.3387  8 Zn 2.52-2.70

Values from the calculation:
Total energy, eV/cell: -222.3

(5)
Density functional theory data (meta-GGA r2SCAN) for a relaxed structure of HoZn12.

Cell: 6.7124 6.7124 6.7124 Å, 98.17 98.17 135.71°
Last column: nearest neighbours and their distance in Å.
Sites, in units of the cell vectors:
Ho1 0.0000 0.0000 0.0000  20 Zn 3.11-3.36
Zn1 0.0000 0.0000 0.5000  10 Zn 2.53-2.70
Zn2 0.0000 0.3540 0.3540  9 Zn 2.57-2.81
Zn3 0.0000 0.5000 0.0000  10 Zn 2.53-2.70
Zn4 0.0000 0.6460 0.6460  9 Zn 2.57-2.81
Zn5 0.2838 0.5000 0.7838  10 Zn 2.55-2.81
Zn6 0.3540 0.0000 0.3540  9 Zn 2.57-2.81
Zn7 0.5000 0.0000 0.0000  10 Zn 2.53-2.70
Zn8 0.5000 0.2838 0.7838  10 Zn 2.55-2.81
Zn9 0.5000 0.5000 0.5000  10 Zn 2.53-2.70
Zn10 0.5000 0.7162 0.2162  10 Zn 2.55-2.81
Zn11 0.6460 0.0000 0.6460  9 Zn 2.57-2.81
Zn12 0.7162 0.5000 0.2162  10 Zn 2.55-2.81

Values from the calculation:
Total energy, eV/cell: -142.4

(6)
Density functional theory data (meta-GGA r2SCAN) for a relaxed structure of HoZn3.

Cell: 6.6029 4.3101 9.9737 Å, 90.00 90.00 90.00°
Last column: nearest neighbours and their distance in Å.
Sites, in units of the cell vectors:
Ho1 0.2217 0.2500 0.1611  12 Zn 2.94-3.19
Ho2 0.2783 0.7500 0.6611  12 Zn 2.94-3.19
Ho3 0.7217 0.2500 0.3389  12 Zn 2.94-3.19
Ho4 0.7783 0.7500 0.8389  12 Zn 2.94-3.19
Zn1 0.0375 0.7500 0.3939  5 Zn 2.55-2.75
Zn2 0.0809 0.2500 0.8547  5 Zn 2.55-2.75
Zn3 0.2222 0.7500 0.9557  6 Zn 2.56-2.75
Zn4 0.2778 0.2500 0.4557  6 Zn 2.56-2.75
Zn5 0.4191 0.7500 0.3547  5 Zn 2.55-2.75
Zn6 0.4625 0.2500 0.8939  5 Zn 2.55-2.75
Zn7 0.5375 0.7500 0.1061  5 Zn 2.55-2.75
Zn8 0.5809 0.2500 0.6453  5 Zn 2.55-2.75
Zn9 0.7222 0.7500 0.5443  6 Zn 2.56-2.75
Zn10 0.7778 0.2500 0.0443  6 Zn 2.56-2.75
Zn11 0.9191 0.7500 0.1453  5 Zn 2.55-2.75
Zn12 0.9625 0.2500 0.6061  5 Zn 2.55-2.75

Values from the calculation:
Total energy, eV/cell: -244.9

(7)
Density functional theory data (meta-GGA r2SCAN) for a relaxed structure of HoZn2.

Cell: 5.5794 5.5794 5.5794 Å, 133.21 102.49 95.68°
Last column: nearest neighbours and their distance in Å.
Sites, in units of the cell vectors:
Ho1 0.2786 0.0286 0.2500  12 Zn 3.02-3.19
Ho2 0.7214 0.9714 0.7500  12 Zn 3.02-3.19
Zn1 0.1228 0.6660 0.4568  3 Zn 2.55-2.56
Zn2 0.2908 0.3340 0.9568  3 Zn 2.55-2.56
Zn3 0.7092 0.6660 0.0432  3 Zn 2.55-2.56
Zn4 0.8772 0.3340 0.5432  3 Zn 2.55-2.56

Values from the calculation:
Total energy, eV/cell: -104.1

(8)
Density functional theory data (meta-GGA r2SCAN) for a relaxed structure of Ho6Zn23.

Cell: 8.8488 8.8488 8.8488 Å, 60.00 60.00 60.00°
Last column: nearest neighbours and their distance in Å.
Sites, in units of the cell vectors:
Ho1 0.2072 0.2072 0.7928  12 Zn 3.04-3.17
Ho2 0.2072 0.7928 0.2072  12 Zn 3.04-3.17
Ho3 0.2072 0.7928 0.7928  12 Zn 3.04-3.17
Ho4 0.7928 0.2072 0.2072  12 Zn 3.04-3.17
Ho5 0.7928 0.2072 0.7928  12 Zn 3.04-3.17
Ho6 0.7928 0.7928 0.2072  12 Zn 3.04-3.17
Zn1 0.0000 0.0000 0.5000  8 Zn 2.56-2.72
Zn2 0.0000 0.5000 0.0000  8 Zn 2.56-2.72
Zn3 0.0000 0.5000 0.5000  8 Zn 2.56-2.72
Zn4 0.1306 0.6231 0.6231  7 Zn 2.67-2.72
Zn5 0.1720 0.1720 0.1720  9 Zn 2.56-2.76
Zn6 0.1720 0.1720 0.4839  9 Zn 2.56-2.76
Zn7 0.1720 0.4839 0.1720  9 Zn 2.56-2.76
Zn8 0.3769 0.3769 0.3769  7 Zn 2.67-2.72
Zn9 0.3769 0.3769 0.8694  7 Zn 2.67-2.72
Zn10 0.3769 0.8694 0.3769  7 Zn 2.67-2.72
Zn11 0.4839 0.1720 0.1720  9 Zn 2.56-2.76
Zn12 0.5000 0.0000 0.0000  8 Zn 2.56-2.72
Zn13 0.5000 0.0000 0.5000  8 Zn 2.56-2.72
Zn14 0.5000 0.5000 0.0000  8 Zn 2.56-2.72
Zn15 0.5000 0.5000 0.5000  8 Zn 2.67
Zn16 0.5161 0.8280 0.8280  9 Zn 2.56-2.76
Zn17 0.6231 0.1306 0.6231  7 Zn 2.67-2.72
Zn18 0.6231 0.6231 0.1306  7 Zn 2.67-2.72
Zn19 0.6231 0.6231 0.6231  7 Zn 2.67-2.72
Zn20 0.8280 0.5161 0.8280  9 Zn 2.56-2.76
Zn21 0.8280 0.8280 0.5161  9 Zn 2.56-2.76
Zn22 0.8280 0.8280 0.8280  9 Zn 2.56-2.76
Zn23 0.8694 0.3769 0.3769  7 Zn 2.67-2.72

Values from the calculation:
Total energy, eV/cell: -412.3

(9)
Density functional theory data (meta-GGA r2SCAN) for a relaxed structure of NaInI4.

Cell: 8.6217 7.8205 15.7252 Å, 90.00 92.82 90.00°
Last column: nearest neighbours and their distance in Å.
Sites, in units of the cell vectors:
Na1 0.1494 0.0036 0.3731  6 I 3.16-3.31
Na2 0.1494 0.4964 0.8731  6 I 3.16-3.31
Na3 0.8506 0.5036 0.1269  6 I 3.16-3.31
Na4 0.8506 0.9964 0.6269  6 I 3.16-3.31
In1 0.2971 0.6878 0.1008  4 I 2.72-2.77
In2 0.2971 0.8122 0.6008  4 I 2.72-2.77
In3 0.7029 0.1878 0.3992  4 I 2.72-2.77
In4 0.7029 0.3122 0.8992  4 I 2.72-2.77
I1 0.0577 0.6569 0.6835  1 In 2.77
I2 0.0577 0.8431 0.1835  1 In 2.77
I3 0.1908 0.1428 0.5719  1 In 2.77
I4 0.1908 0.3572 0.0719  1 In 2.77
I5 0.3174 0.6697 0.4436  1 In 2.72
I6 0.3174 0.8303 0.9436  1 In 2.72
I7 0.4368 0.2062 0.2999  1 In 2.72
I8 0.4368 0.2938 0.7999  1 In 2.72
I9 0.5632 0.7062 0.2001  1 In 2.72
I10 0.5632 0.7938 0.7001  1 In 2.72
I11 0.6826 0.1697 0.0564  1 In 2.72
I12 0.6826 0.3303 0.5564  1 In 2.72
I13 0.8092 0.6428 0.9281  1 In 2.77
I14 0.8092 0.8572 0.4281  1 In 2.77
I15 0.9423 0.1569 0.8165  1 In 2.77
I16 0.9423 0.3431 0.3165  1 In 2.77

Values from the calculation:
Total energy, eV/cell: -519.9

(10)
Density functional theory data (meta-GGA r2SCAN) for a relaxed structure of Pr3IrI3.

Cell: 10.8842 10.8842 10.8842 Å, 109.47 109.47 109.47°
Last column: nearest neighbours and their distance in Å.
Sites, in units of the cell vectors:
Pr1 0.0217 0.0435 0.2717  2 Ir 2.88
Pr2 0.0217 0.4783 0.7500  2 Ir 2.88
Pr3 0.0435 0.2717 0.0217  2 Ir 2.88
Pr4 0.2283 0.2717 0.7500  2 Ir 2.88
Pr5 0.2283 0.4565 0.4783  2 Ir 2.88
Pr6 0.2717 0.0217 0.0435  2 Ir 2.88
Pr7 0.2717 0.7500 0.2283  2 Ir 2.88
Pr8 0.4565 0.4783 0.2283  2 Ir 2.88
Pr9 0.4783 0.2283 0.4565  2 Ir 2.88
Pr10 0.4783 0.7500 0.0217  2 Ir 2.88
Pr11 0.7500 0.0217 0.4783  2 Ir 2.88
Pr12 0.7500 0.2283 0.2717  2 Ir 2.88
Ir1 0.0000 0.2500 0.5000  6 Pr 2.88
Ir2 0.2500 0.2500 0.2500  6 Pr 2.88
Ir3 0.2500 0.5000 0.0000  6 Pr 2.88
Ir4 0.5000 0.0000 0.2500  6 Pr 2.88
I1 0.2500 0.7594 0.7406  4 Pr 3.29-3.44
I2 0.2500 0.9906 0.5094  4 Pr 3.29-3.44
I3 0.5094 0.2500 0.9906  4 Pr 3.29-3.44
I4 0.5094 0.7594 0.5188  4 Pr 3.29-3.44
I5 0.5188 0.5094 0.7594  4 Pr 3.29-3.44
I6 0.7406 0.2500 0.7594  4 Pr 3.29-3.44
I7 0.7406 0.9906 0.9812  4 Pr 3.29-3.44
I8 0.7594 0.5188 0.5094  4 Pr 3.29-3.44
I9 0.7594 0.7406 0.2500  4 Pr 3.29-3.44
I10 0.9812 0.7406 0.9906  4 Pr 3.29-3.44
I11 0.9906 0.5094 0.2500  4 Pr 3.29-3.44
I12 0.9906 0.9812 0.7406  4 Pr 3.29-3.44

Values from the calculation:
Total energy, eV/cell: -895.0

(11)
Density functional theory data (meta-GGA r2SCAN) for a relaxed structure of Y3IrI3.

Cell: 8.8072 4.2876 12.2613 Å, 90.00 93.86 90.00°
Last column: nearest neighbours and their distance in Å.
Sites, in units of the cell vectors:
Y1 0.0982 0.2500 0.3171  1 Ir 2.74
Y2 0.1415 0.2500 0.8704  3 Ir 2.77-2.91
Y3 0.2491 0.7500 0.0995  2 Ir 2.78
Y4 0.7509 0.2500 0.9005  2 Ir 2.78
Y5 0.8585 0.7500 0.1296  3 Ir 2.77-2.91
Y6 0.9018 0.7500 0.6829  1 Ir 2.74
Ir1 0.0485 0.2500 0.0937  6 Y 2.74-2.91
Ir2 0.9515 0.7500 0.9063  6 Y 2.74-2.91
I1 0.1432 0.2500 0.6060  4 Y 3.21-3.54
I2 0.3524 0.7500 0.3623  3 Y 3.12-3.29
I3 0.4285 0.7500 0.8666  5 Y 3.32-3.56
I4 0.5715 0.2500 0.1334  5 Y 3.32-3.56
I5 0.6476 0.2500 0.6377  3 Y 3.12-3.29
I6 0.8568 0.7500 0.3940  4 Y 3.21-3.54

Values from the calculation:
Total energy, eV/cell: -392.6

(12)
Density functional theory data (meta-GGA r2SCAN) for a relaxed structure of Y6IrI10.

Cell: 7.7076 9.6311 9.7334 Å, 107.36 96.97 104.69°
Last column: nearest neighbours and their distance in Å.
Sites, in units of the cell vectors:
Y1 0.0322 0.2212 0.4182  1 Ir 2.65
Y2 0.1159 0.5423 0.2559  1 Ir 2.74
Y3 0.3525 0.6260 0.6673  1 Ir 2.75, 1 I 3.02
Y4 0.6475 0.3740 0.3327  1 Ir 2.75, 1 I 3.02
Y5 0.8841 0.4577 0.7441  1 Ir 2.74
Y6 0.9678 0.7788 0.5818  1 Ir 2.65
Ir1 0.0000 0.5000 0.5000  6 Y 2.65-2.75
I1 0.0888 0.8736 0.3201  3 Y 3.12-3.35
I2 0.2171 0.2388 0.1504  3 Y 3.13-3.29
I3 0.2627 0.5889 0.9644  3 Y 3.12-3.29
I4 0.3508 0.9535 0.7738  2 Y 3.02-3.05
I5 0.4519 0.3125 0.5922  4 Y 3.20-3.23
I6 0.5481 0.6875 0.4078  4 Y 3.20-3.23
I7 0.6492 0.0465 0.2262  2 Y 3.02-3.05
I8 0.7373 0.4111 0.0356  3 Y 3.12-3.29
I9 0.7829 0.7612 0.8496  3 Y 3.13-3.29
I10 0.9112 0.1264 0.6799  3 Y 3.12-3.35

Values from the calculation:
Total energy, eV/cell: -445.4

In the order shown, the computed energy of formation values come out to -0.004; 0.048; -0.403; -0.267; -0.200; -0.400; -0.446; -0.348; -0.934; -1.358; -1.333; -1.502 eV/atom.